210
Lattice="-3.616 16.339 -7.001 -5.529 -6.984 -1.659 -12.758 5.503 19.441" Properties=species:S:1:pos:R:3 comment="PBE Na2Y4In4SiS11O48, optimized geometry" total_energy_ry_per_atom=-0.481 corrected_energy_ev_per_fu=-491.081 vol_a3_per_atom=16.18 formation_energy_ev_per_atom=-2.33 crystal_system=triclinic pbc="T T T"
O -11.664 8.157 8.724
O -9.096 14.760 2.298
O -4.542 2.160 0.270
O -13.405 13.053 10.988
O -4.270 -0.028 -0.655
O -8.167 14.239 -2.227
O -18.164 14.972 7.537
O -11.770 16.042 3.381
O -10.050 12.034 2.440
O -6.780 11.527 -6.740
O -8.240 3.849 5.914
O -15.696 10.497 11.990
O -5.555 7.938 -0.020
O -6.581 5.151 -3.599
O -8.442 1.935 -0.215
O -11.137 4.777 7.045
S -4.184 13.760 -4.270
O -13.947 13.276 5.694
O -10.030 7.806 6.946
S -5.407 9.296 -3.774
O -19.435 13.912 10.028
O -2.940 1.810 -1.542
O -12.313 8.305 0.332
S -5.556 11.937 0.351
S -12.793 16.970 3.959
O -12.051 9.026 6.519
Na -15.507 15.824 9.568
O -9.641 6.526 10.483
O -6.641 12.240 -0.617
Si -9.071 -2.018 6.976
S -9.830 10.620 2.813
Y -9.206 2.006 -2.299
O -9.797 9.804 1.564
S -3.742 3.763 3.800
O -10.300 10.002 7.869
O -15.252 12.547 3.726
Si -17.088 15.517 6.438
O -7.918 7.584 0.223
O -17.520 11.571 5.778
Y -10.013 -4.923 5.278
O -8.515 10.488 3.474
S -6.240 3.940 -2.851
O -11.871 10.831 12.618
O -12.054 5.786 12.301
O -10.881 10.117 3.717
O -3.695 -0.238 3.493
O -4.381 3.221 5.016
O -13.343 16.760 8.361
O -14.479 12.097 13.880
Y -8.261 -0.314 3.934
Si -15.625 10.939 13.550
O -13.970 7.230 10.622
O -15.576 8.713 9.524
Y -10.108 7.994 0.305
S -19.356 9.227 11.550
O -8.017 4.701 10.717
O -9.929 12.887 7.237
O -10.140 3.989 -1.913
O -6.052 -0.569 3.653
Y -4.490 -1.848 -1.935
O -11.532 14.708 6.912
Na -11.858 -4.104 8.101
O -11.412 13.970 0.969
S -8.383 2.229 1.238
In -17.475 12.993 4.105
O -12.678 3.805 17.196
O -14.696 8.103 4.977
O -9.128 11.107 -6.473
S -11.010 8.757 7.535
O -4.492 15.165 -4.605
S -8.342 5.970 10.019
O -17.556 5.825 13.510
O -13.899 2.438 15.583
O -6.168 11.368 1.567
O -4.755 -3.021 -0.049
S -10.165 10.402 -2.298
O -11.710 1.058 5.777
O -17.356 12.689 10.426
O -18.362 9.725 10.596
O -16.975 11.617 14.173
In -14.623 2.420 13.490
O -8.551 -1.977 2.433
O -12.910 12.951 3.493
O -12.849 0.027 8.551
S -13.495 12.654 9.556
O -13.760 0.712 12.994
O -9.670 2.806 1.682
In -6.196 6.325 -5.474
O -18.996 13.130 12.229
O -11.596 8.623 11.751
O -7.981 1.636 5.074
O -11.787 7.130 3.950
O -15.031 3.358 17.535
Na -13.755 7.830 13.333
O -15.337 2.662 11.408
O -6.194 4.276 -1.399
In -16.404 10.708 10.121
O -3.540 5.180 0.124
Y -7.159 12.315 -2.816
S -8.063 12.099 -6.286
In -10.921 0.842 7.887
O -10.174 -0.981 7.555
S -11.756 0.692 4.359
O -12.058 18.237 4.302
Y -1.857 0.767 2.787
O -2.519 0.939 0.675
O -15.711 6.717 14.827
S -8.036 2.419 6.326
O -15.240 6.511 8.666
In -11.120 14.006 2.977
O -17.646 1.857 16.274
O -5.237 13.282 -3.325
Na -14.547 13.534 15.720
O -6.742 2.320 7.043
O -13.962 10.052 0.092
O -13.665 11.082 4.810
In -11.775 6.841 10.437
O -15.662 15.425 7.293
O -4.969 3.317 -3.273
O -6.377 6.075 1.300
O -16.603 1.573 14.092
S -12.158 4.241 7.995
S -10.856 9.898 12.071
O -7.309 2.910 -3.048
O -9.106 2.000 7.240
Y -9.240 5.782 6.547
O -9.929 -3.393 6.676
O -16.335 6.806 10.860
O -11.657 4.891 14.484
S -2.478 5.611 -0.819
O -17.139 4.961 15.703
O -9.755 5.844 4.315
S -3.557 1.221 -0.336
O -10.315 13.728 5.002
O -4.317 9.002 -2.791
O -8.393 6.668 -5.287
O -7.336 3.272 1.468
O -15.215 9.522 14.314
O -10.487 0.131 3.847
O -2.733 7.030 -1.201
O -8.064 1.016 1.986
O -7.977 12.450 -4.847
S -13.954 12.497 4.453
O -6.709 -1.462 -1.793
S -13.606 8.831 0.846
S -10.269 14.103 6.449
O -17.610 14.893 11.309
O -13.413 -1.645 12.029
O -6.323 10.291 -3.154
O -6.628 8.309 2.128
Y -12.805 9.110 4.434
O -11.439 10.959 -1.809
O -8.343 -4.206 1.554
O -17.123 10.823 8.037
O -13.685 18.976 9.186
S -17.607 1.029 15.031
In -19.913 14.080 7.871
O -12.088 1.903 3.570
Y -6.352 10.117 3.433
O -13.481 4.366 7.338
O -10.231 6.702 2.128
O -12.133 5.043 9.250
In -12.754 12.760 13.021
S -15.305 7.322 9.918
O -15.745 3.447 9.181
O -10.230 0.923 9.964
Y -17.344 16.671 12.630
In -13.711 15.105 6.886
O -11.572 4.920 3.032
S -11.751 4.506 13.060
S -16.471 5.480 14.472
O -4.251 12.951 -5.507
In -15.552 8.583 16.073
O -12.856 3.560 12.839
O -15.156 16.258 12.512
O -17.346 -0.365 15.414
O -17.052 17.906 10.771
S -8.403 15.667 -2.606
O -9.096 11.407 -2.045
Na -7.293 4.940 3.640
O -10.364 6.191 -0.982
S -6.619 7.490 0.901
O -11.845 2.831 8.300
O -15.532 4.493 13.910
O -13.487 9.175 2.278
S -10.854 6.160 3.357
S -18.175 11.062 7.016
O -13.429 16.388 5.152
Na -9.336 13.225 0.152
O -14.563 11.661 9.340
O -12.220 12.041 9.081
Y -5.406 4.120 0.650
S -18.352 13.623 10.980
O -4.769 9.885 -4.973
O -6.169 8.088 -4.090
O -9.848 9.175 -1.541
O -8.434 5.627 8.563
In -15.619 4.781 7.461
O -10.503 3.900 12.534
O -8.344 -1.498 5.607
O -19.467 10.029 12.799
O -13.409 8.098 16.007
O -10.238 10.083 -3.733
S -13.749 2.815 16.994
O -7.297 6.660 5.751
O -19.082 7.820 11.964
O -4.845 4.065 2.833
O -13.781 13.904 8.806
O -2.487 4.802 -2.046
O -8.430 16.474 -1.378